Model a:
This record from the Materials Project describes NaNiPO4 after structural relaxation. The functional is PBE with a Hubbard U.

Properties
ρ = 3.85 g/cm³
symmetry = Cmcm (63)

Cell lengths 4.9909, 4.9909, 6.7621 Å; angles 90.01, 90.01, 64.91 degrees
With the nearest neighbours (Å) after each atom.
Fractional positions:
O: 0.2097 0.6862 0.2500  1 P 1.58
O: 0.6862 0.2097 0.2500  1 P 1.58
O: 0.7680 0.7680 0.9350  1 P 1.53
O: 0.7903 0.3138 0.7500  1 P 1.58
O: 0.2320 0.2320 0.4351  1 P 1.53
O: 0.3138 0.7903 0.7500  1 P 1.58
O: 0.7680 0.7680 0.5649  1 P 1.53
O: 0.2320 0.2320 0.0650  1 P 1.53
Na: 0.6866 0.6866 0.2500  4 O 2.24-2.38
Na: 0.3134 0.3134 0.7500  4 O 2.24-2.38
P: 0.6631 0.6631 0.7500  4 O 1.53-1.58
P: 0.3369 0.3369 0.2500  4 O 1.53-1.58
Ni: 0.9999 0.0000 0.5000  6 O 2.00-2.24
Ni: 0.0001 0.9999 0.0000  6 O 2.00-2.24



Model b:
This record from the Materials Project describes NaNiPO4 after structural relaxation. The functional is PBE with a Hubbard U.

Properties
ρ = 3.40 g/cm³
symmetry = Pnma (62)

Cell lengths 4.6886, 11.3823, 6.4584 Å; angles 90.01, 90.00, 90.00 degrees
With the nearest neighbours (Å) after each atom.
Fractional positions:
O: 0.2362 0.4283 0.7500  1 P 1.55
O: 0.2125 0.6395 0.4479  1 P 1.55
O: 0.2550 0.9535 0.2500  1 P 1.60
O: 0.7450 0.0465 0.7500  1 P 1.60
O: 0.7125 0.8605 0.5521  1 P 1.55
O: 0.2875 0.1395 0.0522  1 P 1.55
O: 0.7125 0.8605 0.9478  1 P 1.55
O: 0.7638 0.5717 0.2500  1 P 1.55
O: 0.7874 0.3605 0.5521  1 P 1.55
O: 0.2638 0.9283 0.7500  1 P 1.55
O: 0.7362 0.0717 0.2500  1 P 1.55
O: 0.2875 0.1395 0.4479  1 P 1.55
O: 0.7550 0.5465 0.7500  1 P 1.60
O: 0.2450 0.4535 0.2500  1 P 1.60
O: 0.7875 0.3605 0.9478  1 P 1.55
O: 0.2125 0.6395 0.0522  1 P 1.55
Na: 0.9769 0.2778 0.2500  6 O 2.34-2.60
Na: 0.4768 0.2222 0.7500  6 O 2.34-2.60
Na: 0.0231 0.7222 0.7500  6 O 2.34-2.60
Na: 0.5232 0.7778 0.2500  6 O 2.34-2.60
Ni: 0.5000 0.5000 0.5000  6 O 2.08-2.19
Ni: 0.5000 0.5000 0.0000  6 O 2.08-2.19
Ni: 0.0000 0.0000 0.0000  6 O 2.08-2.19
Ni: 0.0000 0.0000 0.5000  6 O 2.08-2.19
P: 0.0947 0.5795 0.2500  4 O 1.55-1.60
P: 0.5947 0.9205 0.7500  4 O 1.55-1.60
P: 0.9053 0.4205 0.7500  4 O 1.55-1.60
P: 0.4053 0.0795 0.2500  4 O 1.55-1.60



The most stable of them is model b.